Entry 1:
PBE with a Hubbard U NaVCdO4, relaxed; DFT total energy = -0.218 hartree per atom; DFT formation energy = -2.129 eV/atom; crystal system = orthorhombic; size of the total moment = 0.00 μB/f.u.; ΔE to the lowest computed polymorph = 0 meV per atom
1.0
2.9746 -4.6555 0.0000
2.9746 4.6555 0.0000
0.0000 0.0000 7.1341
Na V Cd O
2 2 2 8
Direct
0.1809 0.8191 0.7500
0.8191 0.1809 0.2500
0.1506 0.8494 0.2500
0.8494 0.1506 0.7500
0.5000 0.5000 0.0000
0.5000 0.5000 0.5000
0.2038 0.2795 0.7500
0.2587 0.7413 0.0551
0.2587 0.7413 0.4449
0.2795 0.2038 0.2500
0.7205 0.7962 0.7500
0.7413 0.2587 0.5551
0.7413 0.2587 0.9449
0.7962 0.7205 0.2500

---

Entry 2:
PBE with a Hubbard U NaVZnP2O9, relaxed; DFT total energy = -0.245 hartree per atom; DFT formation energy = -2.452 eV/atom; crystal system = monoclinic; size of the total moment = 0.00 μB/f.u.
1.0
8.7072 0.0000 0.0000
0.0000 8.9364 0.0000
-0.4211 0.0000 9.0821
Na V Zn P O
4 4 4 8 36
Direct
0.1840 0.0396 0.0333
0.1840 0.4604 0.5333
0.8160 0.5396 0.4667
0.8160 0.9604 0.9667
0.4216 0.0040 0.7496
0.4216 0.4960 0.2496
0.5784 0.5040 0.7504
0.5784 0.9960 0.2504
0.0900 0.6446 0.0914
0.0900 0.8554 0.5914
0.9100 0.1446 0.4086
0.9100 0.3554 0.9086
0.0429 0.1399 0.7230
0.0429 0.3601 0.2230
0.4827 0.7504 0.0029
0.4827 0.7496 0.5029
0.5173 0.2504 0.4971
0.5173 0.2496 0.9971
0.9571 0.6399 0.7770
0.9571 0.8601 0.2770
0.0317 0.6474 0.6227
0.0317 0.8526 0.1227
0.0792 0.5738 0.8902
0.0792 0.9262 0.3902
0.1068 0.2103 0.1857
0.1068 0.2897 0.6857
0.1728 0.0115 0.7353
0.1728 0.4885 0.2353
0.3763 0.6458 0.4076
0.3763 0.8542 0.9076
0.3778 0.6581 0.1037
0.3778 0.8419 0.6037
0.3942 0.0133 0.2276
0.3942 0.4867 0.7276
0.3988 0.1571 0.9001
0.3988 0.3429 0.4001
0.4205 0.1467 0.5929
0.4205 0.3533 0.0929
0.5795 0.6467 0.9071
0.5795 0.8533 0.4071
0.6012 0.6571 0.5999
0.6012 0.8429 0.0999
0.6058 0.5133 0.2724
0.6058 0.9867 0.7724
0.6222 0.1581 0.3963
0.6222 0.3419 0.8963
0.6237 0.1458 0.0924
0.6237 0.3542 0.5924
0.8272 0.5115 0.7647
0.8272 0.9885 0.2647
0.8932 0.7103 0.3143
0.8932 0.7897 0.8143
0.9208 0.0738 0.6098
0.9208 0.4262 0.1098
0.9683 0.1474 0.8773
0.9683 0.3526 0.3773

---

Entry 3:
PBE with a Hubbard U Na2Fe2C4SO16, relaxed; DFT total energy = -0.246 hartree per atom; DFT formation energy = -1.726 eV/atom; crystal system = orthorhombic; size of the total moment = 10.16 μB/f.u.
1.0
0.0000 7.0124 7.0249
6.9415 0.0000 7.0249
6.9415 7.0124 0.0000
Na Fe C S O
4 4 8 2 32
Direct
0.0858 0.6642 0.0858
0.3358 0.9142 0.3358
0.6642 0.0858 0.6642
0.9142 0.3358 0.9142
0.0000 0.5000 0.5000
0.5000 0.0000 0.5000
0.5000 0.5000 0.0000
0.5000 0.5000 0.5000
0.2832 0.6373 0.2909
0.2886 0.2909 0.6373
0.2909 0.2886 0.2832
0.3627 0.7168 0.7114
0.6373 0.2832 0.2886
0.7091 0.7114 0.7168
0.7114 0.7091 0.3627
0.7168 0.3627 0.7091
0.1250 0.1250 0.1250
0.8750 0.8750 0.8750
0.0621 0.0645 0.3092
0.0645 0.0621 0.0642
0.0642 0.3092 0.0645
0.1424 0.6350 0.4068
0.1436 0.3149 0.6475
0.1493 0.4063 0.3106
0.3092 0.0642 0.0621
0.3106 0.6338 0.1493
0.3149 0.1436 0.3940
0.3157 0.4068 0.6350
0.3525 0.6060 0.8564
0.3650 0.8576 0.6843
0.3662 0.6894 0.5937
0.3940 0.6475 0.3149
0.4063 0.1493 0.6338
0.4068 0.3157 0.1424
0.5932 0.6843 0.8576
0.5937 0.8507 0.3662
0.6060 0.3525 0.6851
0.6338 0.3106 0.4063
0.6350 0.1424 0.3157
0.6475 0.3940 0.1436
0.6843 0.5932 0.3650
0.6851 0.8564 0.6060
0.6894 0.3662 0.8507
0.6908 0.9358 0.9379
0.8507 0.5937 0.6894
0.8564 0.6851 0.3525
0.8576 0.3650 0.5932
0.9358 0.6908 0.9355
0.9355 0.9379 0.9358
0.9379 0.9355 0.6908

---

Entry 4:
PBE with a Hubbard U CaMoF6, relaxed; DFT total energy = -0.207 hartree per atom; DFT formation energy = -3.341 eV/atom; crystal system = trigonal
1.0
2.8455 1.6428 5.0327
-2.8455 1.6428 5.0327
0.0000 -3.2857 5.0327
Ca Mo F
1 1 6
Direct
0.0000 0.0000 0.0000
0.5000 0.5000 0.5000
0.1700 0.7278 0.3649
0.2722 0.6351 0.8300
0.3649 0.1700 0.7278
0.6351 0.8300 0.2722
0.7278 0.3649 0.1700
0.8300 0.2722 0.6351

---

Entry 5:
PBE with a Hubbard U Lu2V2O7, relaxed; DFT total energy = -0.277 hartree per atom; DFT formation energy = -2.667 eV/atom; crystal system = cubic; size of the total moment = 2.00 μB/f.u.
1.0
0.0000 5.0117 5.0117
5.0117 0.0000 5.0117
5.0117 5.0117 0.0000
Lu V O
4 4 14
Direct
0.0000 0.0000 0.0000
0.0000 0.0000 0.5000
0.0000 0.5000 0.0000
0.5000 0.0000 0.0000
0.0000 0.5000 0.5000
0.5000 0.0000 0.5000
0.5000 0.5000 0.0000
0.5000 0.5000 0.5000
0.1278 0.1278 0.6222
0.1278 0.6222 0.1278
0.1278 0.6222 0.6222
0.3750 0.3750 0.3750
0.3778 0.3778 0.8722
0.3778 0.8722 0.3778
0.3778 0.8722 0.8722
0.6222 0.1278 0.1278
0.6222 0.1278 0.6222
0.6222 0.6222 0.1278
0.6250 0.6250 0.6250
0.8722 0.3778 0.3778
0.8722 0.3778 0.8722
0.8722 0.8722 0.3778

---

Entry 6:
PBE with a Hubbard U Mg3Si3Mo2O12, relaxed; DFT total energy = -0.264 hartree per atom; DFT formation energy = -2.796 eV/atom; crystal system = cubic; size of the total moment = 6.00 μB/f.u.
1.0
-6.0324 6.0324 6.0324
6.0324 -6.0324 6.0324
6.0324 6.0324 -6.0324
Mg Si Mo O
12 12 8 48
Direct
0.1250 0.2500 0.3750
0.1250 0.3750 0.7500
0.2500 0.3750 0.1250
0.2500 0.8750 0.6250
0.3750 0.1250 0.2500
0.3750 0.7500 0.1250
0.6250 0.2500 0.8750
0.6250 0.8750 0.7500
0.7500 0.1250 0.3750
0.7500 0.6250 0.8750
0.8750 0.6250 0.2500
0.8750 0.7500 0.6250
0.1250 0.7500 0.8750
0.1250 0.8750 0.2500
0.2500 0.1250 0.8750
0.2500 0.6250 0.3750
0.3750 0.2500 0.6250
0.3750 0.6250 0.7500
0.6250 0.3750 0.2500
0.6250 0.7500 0.3750
0.7500 0.3750 0.6250
0.7500 0.8750 0.1250
0.8750 0.1250 0.7500
0.8750 0.2500 0.1250
0.0000 0.0000 0.0000
0.0000 0.0000 0.5000
0.0000 0.5000 0.0000
0.0000 0.5000 0.5000
0.5000 0.0000 0.0000
0.5000 0.0000 0.5000
0.5000 0.5000 0.0000
0.5000 0.5000 0.5000
0.0223 0.2209 0.1274
0.0223 0.3013 0.8949
0.0936 0.7209 0.6987
0.0936 0.8726 0.3949
0.1051 0.6274 0.4064
0.1051 0.9777 0.6987
0.1274 0.0223 0.2209
0.1274 0.6051 0.9064
0.1987 0.2209 0.5936
0.1987 0.4777 0.6051
0.2209 0.1274 0.0223
0.2209 0.5936 0.1987
0.2791 0.3013 0.9064
0.2791 0.4777 0.3726
0.3013 0.8949 0.0223
0.3013 0.9064 0.2791
0.3726 0.2791 0.4777
0.3726 0.5936 0.8949
0.3949 0.0936 0.8726
0.3949 0.8013 0.5223
0.4064 0.1051 0.6274
0.4064 0.8013 0.7791
0.4777 0.3726 0.2791
0.4777 0.6051 0.1987
0.5223 0.3949 0.8013
0.5223 0.6274 0.7209
0.5936 0.1987 0.2209
0.5936 0.8949 0.3726
0.6051 0.1987 0.4777
0.6051 0.9064 0.1274
0.6274 0.4064 0.1051
0.6274 0.7209 0.5223
0.6987 0.0936 0.7209
0.6987 0.1051 0.9777
0.7209 0.5223 0.6274
0.7209 0.6987 0.0936
0.7791 0.4064 0.8013
0.7791 0.8726 0.9777
0.8013 0.5223 0.3949
0.8013 0.7791 0.4064
0.8726 0.3949 0.0936
0.8726 0.9777 0.7791
0.8949 0.0223 0.3013
0.8949 0.3726 0.5936
0.9064 0.1274 0.6051
0.9064 0.2791 0.3013
0.9777 0.6987 0.1051
0.9777 0.7791 0.8726

---

Entry 7:
PBE with a Hubbard U Ba2MgFeMoO6, relaxed; DFT total energy = -0.232 hartree per atom; DFT formation energy = -2.227 eV/atom; crystal system = orthorhombic; size of the total moment = 2.00 μB/f.u.; ΔE to the lowest computed polymorph = 157 meV per atom
1.0
-2.8537 2.9066 4.9725
2.8537 -2.9066 4.9725
2.8537 2.9066 -4.9725
Ba Mg Fe Mo O
2 1 1 1 6
Direct
0.0000 0.0000 0.0000
0.3907 0.3907 0.0000
0.6953 0.6953 0.0000
0.6961 0.1961 0.5000
0.1954 0.6954 0.5000
0.4193 0.9193 0.5000
0.4630 0.4419 0.5143
0.4630 0.9487 0.0210
0.9277 0.4419 0.9790
0.9277 0.9487 0.4857
0.9706 0.4706 0.5000

---

Entry 8:
PBE with a Hubbard U CaMg2MnFe2P4O26, relaxed; DFT total energy = -0.221 hartree per atom; DFT formation energy = -1.643 eV/atom; crystal system = monoclinic; size of the total moment = 18.99 μB/f.u.
1.0
10.3134 0.0000 0.0000
0.0000 6.9140 0.0000
-5.0269 0.0000 13.7484
Ca Mg Mn Fe P O
2 4 2 4 8 52
Direct
0.0000 0.0251 0.2500
0.0000 0.9749 0.7500
0.5000 0.0000 0.0000
0.5000 0.0000 0.5000
0.5000 0.4929 0.7500
0.5000 0.5071 0.2500
0.0000 0.4746 0.7500
0.0000 0.5254 0.2500
0.0000 0.0000 0.0000
0.0000 0.0000 0.5000
0.0000 0.5000 0.0000
0.0000 0.5000 0.5000
0.1866 0.2772 0.6988
0.1866 0.7228 0.1988
0.1998 0.2567 0.4232
0.1998 0.7433 0.9232
0.8002 0.2567 0.0768
0.8002 0.7433 0.5768
0.8134 0.2772 0.8012
0.8134 0.7228 0.3012
0.0688 0.2494 0.0198
0.0688 0.7506 0.5198
0.0816 0.4514 0.6489
0.0816 0.5486 0.1489
0.1198 0.0643 0.4259
0.1198 0.9357 0.9259
0.1293 0.3232 0.3128
0.1293 0.6768 0.8128
0.1373 0.0870 0.6438
0.1373 0.9130 0.1438
0.1393 0.2719 0.7925
0.1393 0.7281 0.2925
0.1754 0.4117 0.4912
0.1754 0.5883 0.9912
0.3352 0.3262 0.7212
0.3352 0.6738 0.2212
0.3497 0.2070 0.4447
0.3497 0.7930 0.9447
0.3632 0.2363 0.9964
0.3632 0.7637 0.4964
0.3795 0.2403 0.2022
0.3795 0.7597 0.7022
0.4525 0.0604 0.1280
0.4525 0.9396 0.6280
0.4589 0.4074 0.1040
0.4589 0.5926 0.6040
0.5411 0.4074 0.3960
0.5411 0.5926 0.8960
0.5475 0.0604 0.3720
0.5475 0.9396 0.8720
0.6205 0.2403 0.2978
0.6205 0.7597 0.7978
0.6368 0.2363 0.5036
0.6368 0.7637 0.0036
0.6503 0.2070 0.0553
0.6503 0.7930 0.5553
0.6648 0.3262 0.7788
0.6648 0.6738 0.2788
0.8246 0.4117 0.0088
0.8246 0.5883 0.5088
0.8607 0.2719 0.7075
0.8607 0.7281 0.2075
0.8627 0.0870 0.8562
0.8627 0.9130 0.3562
0.8707 0.3232 0.1872
0.8707 0.6768 0.6872
0.8802 0.0643 0.0741
0.8802 0.9357 0.5741
0.9184 0.4514 0.8511
0.9184 0.5486 0.3511
0.9312 0.2494 0.4802
0.9312 0.7506 0.9802

---

Entry 9:
PBE with a Hubbard U VPH5O7, relaxed; DFT total energy = -0.226 hartree per atom; DFT formation energy = -1.893 eV/atom; crystal system = monoclinic; size of the total moment = 1.00 μB/f.u.; ΔE to the lowest computed polymorph = 0 meV per atom
1.0
7.6933 0.0000 0.0000
0.0000 7.3055 0.0000
-0.9082 0.0000 9.6026
V P H O
4 4 20 28
Direct
0.0197 0.1345 0.2542
0.0197 0.3655 0.7542
0.9803 0.6345 0.2458
0.9803 0.8655 0.7458
0.2219 0.6516 0.9891
0.2219 0.8484 0.4891
0.7781 0.1516 0.5109
0.7781 0.3484 0.0109
0.1809 0.0186 0.0432
0.1809 0.4814 0.5432
0.3296 0.0260 0.1719
0.3296 0.4740 0.6719
0.3685 0.0186 0.7412
0.3685 0.4814 0.2412
0.4610 0.1732 0.8399
0.4610 0.3268 0.3399
0.4695 0.6636 0.8938
0.4695 0.8364 0.3938
0.5305 0.1636 0.6062
0.5305 0.3364 0.1062
0.5390 0.6732 0.6601
0.5390 0.8268 0.1601
0.6315 0.5186 0.7588
0.6315 0.9814 0.2588
0.6704 0.5260 0.3281
0.6704 0.9740 0.8281
0.8191 0.5186 0.4568
0.8191 0.9814 0.9568
0.0592 0.1417 0.7870
0.0592 0.3583 0.2870
0.1229 0.6774 0.4292
0.1229 0.8226 0.9292
0.1739 0.0227 0.4071
0.1739 0.4773 0.9071
0.2021 0.6309 0.1460
0.2021 0.8691 0.6460
0.2205 0.0865 0.1298
0.2205 0.4135 0.6298
0.4255 0.6906 0.9867
0.4255 0.8094 0.4867
0.4790 0.0867 0.7643
0.4790 0.4133 0.2643
0.5210 0.5867 0.7357
0.5210 0.9133 0.2357
0.5745 0.1906 0.5133
0.5745 0.3094 0.0133
0.7795 0.5865 0.3702
0.7795 0.9135 0.8702
0.7979 0.1309 0.3540
0.7979 0.3691 0.8540
0.8261 0.5227 0.0929
0.8261 0.9773 0.5929
0.8771 0.1774 0.0708
0.8771 0.3226 0.5708
0.9408 0.6417 0.7130
0.9408 0.8583 0.2130

---

Q: The lowest DFT total energy belongs to which entry?
A: Lu2V2O7

---

Q: Among the records above, which one has the highest DFT total energy?
A: CaMoF6

---

Q: What is the DFT total energy in the fifth record?
A: -0.277 hartree per atom

---

Q: What is the formula in the fourth record?
A: CaMoF6